Below is a geometry-optimized HfMnAl structure, with properties calculated at the r²SCAN level.

The energy relative to the elements is -125 kJ/mol of formula units.

The structure belongs to space group Amm2 (No. 38); the cell edges are 8.4037, 5.2541 and 9.0567 Å and the angles 90.00°, 90.00° and 90.00°. Symmetry generates all atoms from Hf at (0.1820, 0.0000, 0.0000), Hf at (0.3049, 0.0000, 0.3365), Mn at (0.0000, 0.0000, 0.4997), Mn at (0.0000, 0.2408, 0.2545), Mn at (0.5000, 0.0000, 0.8384), Al at (0.2442, 0.0000, 0.6708) and Al at (0.5000, 0.2428, 0.0822).